## P
Compound: K2TiCrP3O12
Source: the Materials Project database
Functional: PBE+U
Structure: relaxed

Structure (POSCAR):
```
K2TiCrP3O12
1.0
-0.314 -8.731 4.759
9.427 -1.776 -2.636
3.162 4.426 8.329
K Ti Cr P O
8 4 4 12 48
direct
0.317 0.183 0.817
0.183 0.817 0.317
0.683 0.683 0.683
0.817 0.317 0.183
0.544 0.956 0.044
0.956 0.044 0.544
0.456 0.456 0.456
0.044 0.544 0.956
0.164 0.164 0.164
0.836 0.664 0.336
0.664 0.336 0.836
0.336 0.836 0.664
0.395 0.605 0.105
0.895 0.895 0.895
0.105 0.395 0.605
0.605 0.105 0.395
0.207 0.875 0.978
0.022 0.707 0.625
0.375 0.522 0.793
0.707 0.625 0.022
0.522 0.793 0.375
0.875 0.978 0.207
0.793 0.375 0.522
0.978 0.207 0.875
0.625 0.022 0.707
0.293 0.125 0.478
0.478 0.293 0.125
0.125 0.478 0.293
0.228 0.012 0.051
0.949 0.728 0.488
0.512 0.449 0.772
0.728 0.488 0.949
0.449 0.772 0.512
0.012 0.051 0.228
0.772 0.512 0.449
0.051 0.228 0.012
0.488 0.949 0.728
0.272 0.988 0.551
0.551 0.272 0.988
0.988 0.551 0.272
0.249 0.898 0.828
0.172 0.749 0.602
0.398 0.672 0.751
0.749 0.602 0.172
0.672 0.751 0.398
0.898 0.828 0.249
0.751 0.398 0.672
0.828 0.249 0.898
0.602 0.172 0.749
0.251 0.102 0.328
0.328 0.251 0.102
0.102 0.328 0.251
0.299 0.775 0.048
0.952 0.799 0.725
0.275 0.452 0.701
0.799 0.725 0.952
0.452 0.701 0.275
0.775 0.048 0.299
0.701 0.275 0.452
0.048 0.299 0.775
0.725 0.952 0.799
0.201 0.225 0.548
0.548 0.201 0.225
0.225 0.548 0.201
0.060 0.827 0.987
0.013 0.560 0.673
0.327 0.513 0.940
0.560 0.673 0.013
0.513 0.940 0.327
0.827 0.987 0.060
0.940 0.327 0.513
0.987 0.060 0.827
0.673 0.013 0.560
0.440 0.173 0.487
0.487 0.440 0.173
0.173 0.487 0.440
```

Results
Density, g/cm3: 3.12
Spin magnetization, μB per atom: 0.158



## Q
Compound: K2TiCrP3O12
Source: the Materials Project database
Functional: PBE+U
Structure: relaxed

Structure (POSCAR):
```
K2TiCrP3O12
1.0
9.941 0.000 0.000
-0.010 9.943 0.000
-0.012 -0.005 19.887
K Ti Cr P O
16 8 8 24 96
direct
0.958 0.456 0.479
0.958 0.457 0.978
0.821 0.181 0.159
0.817 0.183 0.658
0.680 0.818 0.410
0.684 0.817 0.909
0.542 0.543 0.229
0.543 0.544 0.728
0.456 0.043 0.021
0.456 0.043 0.522
0.316 0.318 0.342
0.316 0.317 0.842
0.180 0.681 0.091
0.184 0.683 0.591
0.043 0.959 0.272
0.044 0.956 0.772
0.893 0.608 0.305
0.835 0.835 0.582
0.664 0.163 0.333
0.664 0.163 0.831
0.608 0.391 0.054
0.388 0.893 0.196
0.333 0.664 0.918
0.164 0.337 0.667
0.896 0.606 0.803
0.839 0.837 0.081
0.605 0.395 0.553
0.395 0.894 0.697
0.338 0.663 0.419
0.162 0.337 0.168
0.106 0.106 0.448
0.106 0.105 0.947
0.979 0.291 0.312
0.978 0.293 0.812
0.878 0.525 0.146
0.875 0.522 0.647
0.793 0.125 0.489
0.795 0.122 0.989
0.707 0.877 0.237
0.707 0.874 0.739
0.622 0.478 0.397
0.624 0.478 0.896
0.525 0.708 0.061
0.521 0.707 0.562
0.475 0.207 0.189
0.477 0.207 0.687
0.376 0.975 0.355
0.375 0.978 0.853
0.291 0.376 0.012
0.293 0.376 0.510
0.208 0.621 0.263
0.207 0.625 0.761
0.125 0.022 0.603
0.122 0.025 0.103
0.026 0.794 0.438
0.021 0.793 0.938
0.992 0.946 0.117
0.988 0.948 0.614
0.983 0.442 0.334
0.987 0.440 0.836
0.952 0.702 0.385
0.953 0.702 0.887
0.949 0.768 0.005
0.946 0.771 0.505
0.940 0.173 0.493
0.940 0.174 0.994
0.900 0.671 0.126
0.898 0.672 0.626
0.830 0.515 0.221
0.827 0.513 0.720
0.828 0.251 0.302
0.828 0.251 0.801
0.797 0.771 0.274
0.799 0.775 0.774
0.769 0.453 0.102
0.775 0.452 0.601
0.767 0.991 0.026
0.771 0.988 0.526
0.751 0.103 0.414
0.750 0.104 0.914
0.748 0.901 0.165
0.749 0.898 0.664
0.729 0.010 0.277
0.728 0.012 0.776
0.730 0.546 0.351
0.726 0.548 0.851
0.702 0.230 0.023
0.701 0.226 0.524
0.671 0.748 0.049
0.672 0.749 0.552
0.674 0.487 0.470
0.669 0.484 0.971
0.604 0.329 0.375
0.602 0.328 0.876
0.558 0.830 0.242
0.560 0.828 0.744
0.555 0.229 0.255
0.552 0.228 0.756
0.548 0.297 0.135
0.548 0.299 0.637
0.515 0.558 0.085
0.514 0.560 0.586
0.511 0.054 0.363
0.512 0.052 0.864
0.489 0.552 0.886
0.491 0.552 0.383
0.485 0.059 0.165
0.487 0.060 0.664
0.453 0.797 0.115
0.453 0.798 0.614
0.450 0.732 0.495
0.446 0.729 0.995
0.442 0.331 0.008
0.440 0.327 0.507
0.398 0.828 0.875
0.402 0.829 0.373
0.332 0.984 0.279
0.328 0.987 0.780
0.330 0.248 0.201
0.329 0.249 0.699
0.297 0.731 0.227
0.299 0.726 0.726
0.275 0.048 0.899
0.274 0.049 0.398
0.268 0.510 0.475
0.273 0.511 0.973
0.253 0.402 0.085
0.251 0.396 0.586
0.247 0.600 0.335
0.249 0.602 0.836
0.232 0.492 0.223
0.229 0.488 0.724
0.231 0.953 0.149
0.226 0.952 0.649
0.202 0.273 0.476
0.203 0.274 0.976
0.170 0.752 0.451
0.172 0.751 0.948
0.174 0.012 0.030
0.172 0.013 0.530
0.100 0.170 0.124
0.102 0.172 0.625
0.058 0.670 0.258
0.060 0.673 0.756
0.051 0.269 0.245
0.051 0.272 0.744
0.047 0.203 0.364
0.048 0.201 0.863
0.011 0.940 0.413
0.013 0.940 0.914
0.008 0.446 0.134
0.012 0.448 0.636
```

Results
Density, g/cm3: 3.13
Spin magnetization, μB per atom: 0.158



Most stable one: P, least stable one: Q.



## P
Compound: KCrS2O8
Source: the Materials Project database
Functional: PBE+U
Structure: relaxed

Structure (POSCAR):
```
KCrS2O8
1.0
-2.537 -4.395 0.000
-7.613 4.396 0.000
-0.001 0.000 -7.988
K Cr S O
2 2 4 16
direct
0.000 0.000 0.500
0.500 0.500 0.500
0.500 0.500 0.000
0.000 0.000 0.000
0.500 0.167 0.781
0.000 0.667 0.781
0.000 0.333 0.219
0.500 0.833 0.219
0.500 0.167 0.598
0.999 0.667 0.598
0.000 0.333 0.402
0.499 0.833 0.402
0.760 0.110 0.842
0.260 0.610 0.841
0.286 0.065 0.843
0.786 0.565 0.843
0.260 0.390 0.158
0.760 0.890 0.158
0.455 0.325 0.842
0.955 0.825 0.843
0.785 0.435 0.157
0.286 0.935 0.158
0.955 0.175 0.158
0.455 0.675 0.157
```

Results
Density, g/cm3: 2.64
Spin magnetization, μB per atom: 0.000



## Q
Compound: KCrS2O8
Source: the Materials Project database
Functional: PBE+U
Structure: relaxed

Structure (POSCAR):
```
KCrS2O8
1.0
-2.430 -4.208 0.000
4.859 0.000 -16.433
7.289 -4.208 0.000
K Cr S O
4 4 8 32
direct
0.500 0.000 0.500
0.000 0.000 0.000
0.750 0.500 0.250
0.250 0.500 0.750
0.875 0.750 0.125
0.625 0.250 0.375
0.375 0.750 0.625
0.125 0.250 0.875
0.177 0.355 0.156
0.677 0.355 0.656
0.823 0.645 0.844
0.323 0.645 0.344
0.427 0.855 0.906
0.927 0.855 0.406
0.573 0.145 0.094
0.073 0.145 0.594
0.222 0.444 0.112
0.722 0.444 0.612
0.778 0.556 0.888
0.278 0.556 0.388
0.472 0.944 0.862
0.972 0.944 0.362
0.528 0.056 0.138
0.028 0.056 0.638
0.014 0.676 0.695
0.514 0.676 0.195
0.951 0.676 0.984
0.451 0.676 0.484
0.338 0.324 0.305
0.838 0.324 0.805
0.549 0.676 0.808
0.049 0.676 0.308
0.275 0.324 0.016
0.775 0.324 0.516
0.873 0.324 0.192
0.373 0.324 0.692
0.701 0.824 0.942
0.201 0.824 0.442
0.236 0.824 0.055
0.736 0.824 0.555
0.877 0.176 0.058
0.377 0.176 0.558
0.299 0.824 0.766
0.799 0.824 0.266
0.412 0.176 0.945
0.912 0.176 0.445
0.475 0.176 0.234
0.975 0.176 0.734
```

Results
Density, g/cm3: 2.80
Spin magnetization, μB per atom: 0.000



Most stable one: Q, least stable one: P.



## P
Compound: La2Cr2O5
Source: the Materials Project database
Functional: PBE+U
Structure: relaxed

Structure (POSCAR):
```
La2Cr2O5
1.0
-2.771 2.788 7.890
2.771 -2.788 7.890
2.771 2.788 -7.890
La Cr O
4 4 10
direct
0.146 0.612 0.502
0.854 0.356 0.466
0.610 0.112 0.466
0.390 0.856 0.502
0.000 0.984 0.984
0.500 0.484 0.984
0.208 0.238 0.946
0.792 0.738 0.030
0.720 0.206 0.983
0.280 0.263 0.486
0.723 0.706 0.486
0.277 0.763 0.983
0.031 0.103 0.887
0.969 0.856 0.072
0.716 0.603 0.072
0.284 0.356 0.887
0.491 0.975 0.966
0.509 0.475 0.484
```

Results
Density, g/cm3: 6.29
Spin magnetization, μB per atom: 0.769



## Q
Compound: La2Cr2O5
Source: the Materials Project database
Functional: PBE+U
Structure: relaxed

Structure (POSCAR):
```
La2Cr2O5
1.0
1.446 3.285 8.139
-0.220 8.571 2.370
-4.482 -6.348 -4.329
La Cr O
4 4 10
direct
0.892 0.385 0.512
0.108 0.620 0.493
0.373 0.885 0.493
0.627 0.120 0.512
0.000 0.009 0.009
0.500 0.509 0.009
0.743 0.746 0.988
0.257 0.246 0.003
0.276 0.277 0.509
0.724 0.233 0.001
0.268 0.777 0.001
0.732 0.733 0.509
0.953 0.898 0.102
0.047 0.149 0.945
0.296 0.398 0.945
0.704 0.649 0.102
0.626 0.347 0.473
0.374 0.847 0.721
```

Results
Density, g/cm3: 6.04
Spin magnetization, μB per atom: 0.186



Most stable one: P, least stable one: Q.



## P
Compound: SrLa3Cr4O12
Source: the Materials Project database
Functional: PBE+U
Structure: relaxed

Structure (POSCAR):
```
SrLa3Cr4O12
1.0
-2.524 -2.430 4.284
4.061 4.621 4.833
-4.047 3.844 -0.286
Sr La Cr O
1 3 4 12
direct
0.500 0.248 0.003
0.000 0.753 0.497
0.501 0.754 0.999
0.998 0.247 0.501
0.000 0.001 0.001
0.499 0.497 0.499
0.000 0.499 0.000
0.501 0.000 0.500
0.001 0.749 0.062
0.499 0.258 0.552
0.999 0.251 0.933
0.501 0.744 0.438
0.220 0.534 0.717
0.781 0.966 0.718
0.723 0.022 0.224
0.283 0.476 0.231
0.715 0.538 0.770
0.280 0.963 0.778
0.214 0.028 0.289
0.785 0.472 0.289
```

Results
Density, g/cm3: 6.21
Spin magnetization, μB per atom: 0.051



## Q
Compound: SrLa3Cr4O12
Source: the Materials Project database
Functional: PBE+U
Structure: relaxed

Structure (POSCAR):
```
SrLa3Cr4O12
1.0
2.789 1.611 4.473
-5.599 -3.232 4.491
2.789 -4.831 0.000
Sr La Cr O
1 3 4 12
direct
0.500 0.250 0.002
0.000 0.750 0.496
0.500 0.750 0.001
0.000 0.250 0.501
0.000 0.001 0.999
0.500 0.001 0.500
0.000 0.499 0.999
0.500 0.499 0.500
0.000 0.750 0.061
0.500 0.250 0.553
0.000 0.250 0.933
0.500 0.750 0.436
0.218 0.535 0.718
0.782 0.965 0.718
0.722 0.024 0.223
0.277 0.476 0.223
0.720 0.537 0.780
0.280 0.963 0.779
0.211 0.027 0.289
0.789 0.473 0.289
```

Results
Density, g/cm3: 6.21
Spin magnetization, μB per atom: 0.001



Most stable one: P, least stable one: Q.